No. 1
Compound: P4S3O6
Source: the Materials Project database
Functional: GGA-PBE
Structure: relaxed

## Properties
- E (eV per atom) = -6.213
- energy of formation from the pure elements (meV per atom) = -1742
- corrected total energy (MP2020 scheme) (eV/cell) = -345.6

```
data_P4S3O6
_symmetry_space_group_name_H-M 'P 1 21/c 1'
_symmetry_Int_Tables_number 14
_cell_length_a 12.953
_cell_length_b 8.683
_cell_length_c 10.185
_cell_angle_alpha 90.00
_cell_angle_beta 91.10
_cell_angle_gamma 90.00
loop_
_symmetry_equiv_pos_as_xyz
'x,y,z'
'-x,-y,-z'
'-x,y+1/2,-z+1/2'
'x,-y+1/2,z+1/2'
loop_
_atom_site_label
_atom_site_type_symbol
_atom_site_fract_x
_atom_site_fract_y
_atom_site_fract_z
_atom_site_occupancy
P1 P 0.133 0.015 0.329 1
P2 P 0.210 0.061 0.599 1
P3 P 0.266 0.714 0.950 1
P4 P 0.349 0.082 0.376 1
S1 S 0.022 0.045 0.210 1
S2 S 0.295 0.574 0.459 1
S3 S 0.464 0.182 0.307 1
O1 O 0.120 0.076 0.478 1
O2 O 0.169 0.664 0.853 1
O3 O 0.237 0.627 0.085 1
O4 O 0.242 0.096 0.288 1
O5 O 0.311 0.134 0.520 1
O6 O 0.358 0.606 0.893 1
```

No. 2
Compound: Sb2PS2O13
Source: the Materials Project database
Functional: GGA-PBE
Structure: relaxed

## Properties
- E (eV per atom) = -5.986
- energy of formation from the pure elements (meV per atom) = -1690
- corrected total energy (MP2020 scheme) (eV/cell) = -233.4

```
data_Sb2PS2O13
_symmetry_space_group_name_H-M 'P -1'
_symmetry_Int_Tables_number 2
_cell_length_a 5.202
_cell_length_b 8.299
_cell_length_c 13.006
_cell_angle_alpha 82.89
_cell_angle_beta 87.90
_cell_angle_gamma 86.72
loop_
_symmetry_equiv_pos_as_xyz
'x,y,z'
'-x,-y,-z'
loop_
_atom_site_label
_atom_site_type_symbol
_atom_site_fract_x
_atom_site_fract_y
_atom_site_fract_z
_atom_site_occupancy
Sb1 Sb 0.203 0.293 0.176 1
Sb2 Sb 0.215 0.258 0.542 1
P1 P 0.270 0.969 0.360 1
S1 S 0.251 0.707 0.971 1
S2 S 0.294 0.603 0.658 1
O1 O 0.032 0.820 0.917 1
O2 O 0.032 0.867 0.358 1
O3 O 0.138 0.722 0.718 1
O4 O 0.188 0.441 0.680 1
O5 O 0.229 0.715 0.082 1
O6 O 0.243 0.547 0.936 1
O7 O 0.250 0.068 0.452 1
O8 O 0.282 0.170 0.856 1
O9 O 0.282 0.666 0.545 1
O10 O 0.292 0.075 0.253 1
O11 O 0.430 0.397 0.313 1
O12 O 0.483 0.144 0.638 1
O13 O 0.500 0.213 0.070 1
```

No. 3
Compound: ScSnPS2O12
Source: the Materials Project database
Functional: GGA-PBE
Structure: relaxed

## Properties
- E (eV per atom) = -6.821
- energy of formation from the pure elements (meV per atom) = -2400
- corrected total energy (MP2020 scheme) (eV/cell) = -1490.4

```
data_ScSnPS2O12
_symmetry_space_group_name_H-M 'C 1 c 1'
_symmetry_Int_Tables_number 9
_cell_length_a 15.252
_cell_length_b 8.782
_cell_length_c 22.888
_cell_angle_alpha 90.00
_cell_angle_beta 90.16
_cell_angle_gamma 90.00
loop_
_symmetry_equiv_pos_as_xyz
'x,y,z'
'x,-y,z+1/2'
'x+1/2,y+1/2,z'
'x+1/2,-y+1/2,z+1/2'
loop_
_atom_site_label
_atom_site_type_symbol
_atom_site_fract_x
_atom_site_fract_y
_atom_site_fract_z
_atom_site_occupancy
Sc1 Sc 0.000 0.000 0.000 1
Sc2 Sc 0.171 0.490 0.166 1
Sc3 Sc 0.325 0.002 0.334 1
Sn1 Sn 0.001 0.000 0.209 1
Sn2 Sn 0.166 0.500 0.375 1
Sn3 Sn 0.331 0.011 0.042 1
P1 P 0.163 0.212 0.273 1
P2 P 0.188 0.150 0.939 1
P3 P 0.359 0.355 0.106 1
S1 S 0.022 0.354 0.772 1
S2 S 0.147 0.145 0.606 1
S3 S 0.313 0.357 0.772 1
S4 S 0.331 0.288 0.440 1
S5 S 0.479 0.141 0.939 1
S6 S 0.496 0.208 0.605 1
O1 O 0.012 0.195 0.054 1
O2 O 0.013 0.184 0.766 1
O3 O 0.064 0.420 0.721 1
O4 O 0.068 0.428 0.433 1
O5 O 0.073 0.391 0.114 1
O6 O 0.077 0.371 0.826 1
O7 O 0.081 0.109 0.264 1
O8 O 0.091 0.115 0.555 1
O9 O 0.098 0.079 0.950 1
O10 O 0.110 0.068 0.660 1
O11 O 0.145 0.308 0.329 1
O12 O 0.154 0.308 0.616 1
O13 O 0.177 0.314 0.220 1
O14 O 0.179 0.325 0.930 1
O15 O 0.232 0.076 0.886 1
O16 O 0.236 0.077 0.599 1
O17 O 0.244 0.114 0.282 1
O18 O 0.246 0.132 0.995 1
O19 O 0.252 0.385 0.433 1
O20 O 0.257 0.383 0.721 1
O21 O 0.269 0.426 0.115 1
O22 O 0.276 0.430 0.826 1
O23 O 0.315 0.195 0.494 1
O24 O 0.324 0.194 0.781 1
O25 O 0.346 0.192 0.389 1
O26 O 0.349 0.179 0.100 1
O27 O 0.401 0.429 0.766 1
O28 O 0.403 0.425 0.053 1
O29 O 0.409 0.385 0.448 1
O30 O 0.416 0.113 0.597 1
O31 O 0.416 0.376 0.163 1
O32 O 0.424 0.112 0.888 1
O33 O 0.436 0.077 0.282 1
O34 O 0.443 0.067 0.993 1
O35 O 0.479 0.299 0.659 1
O36 O 0.488 0.305 0.948 1
```

No. 4
Compound: ScTiPS2O12
Source: the Materials Project database
Functional: GGA-PBE
Structure: relaxed

## Properties
- E (eV per atom) = -7.317
- energy of formation from the pure elements (meV per atom) = -2667
- corrected total energy (MP2020 scheme) (eV/cell) = -1591.6

```
data_ScTiPS2O12
_symmetry_space_group_name_H-M 'C 1 c 1'
_symmetry_Int_Tables_number 9
_cell_length_a 15.160
_cell_length_b 8.741
_cell_length_c 22.539
_cell_angle_alpha 90.00
_cell_angle_beta 90.32
_cell_angle_gamma 90.00
loop_
_symmetry_equiv_pos_as_xyz
'x,y,z'
'x,-y,z+1/2'
'x+1/2,y+1/2,z'
'x+1/2,-y+1/2,z+1/2'
loop_
_atom_site_label
_atom_site_type_symbol
_atom_site_fract_x
_atom_site_fract_y
_atom_site_fract_z
_atom_site_occupancy
Sc1 Sc 0.000 0.001 0.000 1
Sc2 Sc 0.171 0.498 0.167 1
Sc3 Sc 0.340 0.007 0.333 1
Ti1 Ti 0.000 0.016 0.712 1
Ti2 Ti 0.171 0.499 0.879 1
Ti3 Ti 0.337 0.005 0.545 1
P1 P 0.030 0.357 0.773 1
P2 P 0.335 0.287 0.439 1
P3 P 0.361 0.351 0.105 1
S1 S 0.003 0.287 0.106 1
S2 S 0.149 0.140 0.606 1
S3 S 0.168 0.211 0.272 1
S4 S 0.195 0.146 0.939 1
S5 S 0.316 0.359 0.773 1
S6 S 0.483 0.141 0.939 1
O1 O 0.018 0.195 0.053 1
O2 O 0.022 0.178 0.762 1
O3 O 0.072 0.425 0.718 1
O4 O 0.072 0.433 0.431 1
O5 O 0.079 0.388 0.114 1
O6 O 0.087 0.116 0.264 1
O7 O 0.091 0.386 0.828 1
O8 O 0.096 0.115 0.553 1
O9 O 0.108 0.081 0.948 1
O10 O 0.109 0.068 0.659 1
O11 O 0.154 0.311 0.326 1
O12 O 0.162 0.305 0.614 1
O13 O 0.185 0.306 0.220 1
O14 O 0.187 0.317 0.931 1
O15 O 0.235 0.079 0.886 1
O16 O 0.238 0.067 0.598 1
O17 O 0.244 0.111 0.281 1
O18 O 0.251 0.389 0.428 1
O19 O 0.252 0.121 0.993 1
O20 O 0.262 0.383 0.720 1
O21 O 0.271 0.418 0.117 1
O22 O 0.276 0.432 0.826 1
O23 O 0.321 0.180 0.495 1
O24 O 0.327 0.194 0.782 1
O25 O 0.350 0.188 0.385 1
O26 O 0.354 0.174 0.094 1
O27 O 0.404 0.425 0.052 1
O28 O 0.406 0.430 0.764 1
O29 O 0.414 0.390 0.449 1
O30 O 0.422 0.115 0.597 1
O31 O 0.423 0.382 0.161 1
O32 O 0.428 0.119 0.886 1
O33 O 0.438 0.080 0.282 1
O34 O 0.442 0.069 0.992 1
O35 O 0.487 0.309 0.659 1
O36 O 0.497 0.305 0.948 1
```

No. 5
Compound: ZrScPS2O12
Source: the Materials Project database
Functional: GGA-PBE
Structure: relaxed

## Properties
- E (eV per atom) = -7.450
- energy of formation from the pure elements (meV per atom) = -2761
- corrected total energy (MP2020 scheme) (eV/cell) = -1618.6

```
data_ZrScPS2O12
_symmetry_space_group_name_H-M 'C 1 c 1'
_symmetry_Int_Tables_number 9
_cell_length_a 15.469
_cell_length_b 8.935
_cell_length_c 23.000
_cell_angle_alpha 90.00
_cell_angle_beta 90.04
_cell_angle_gamma 90.00
loop_
_symmetry_equiv_pos_as_xyz
'x,y,z'
'x,-y,z+1/2'
'x+1/2,y+1/2,z'
'x+1/2,-y+1/2,z+1/2'
loop_
_atom_site_label
_atom_site_type_symbol
_atom_site_fract_x
_atom_site_fract_y
_atom_site_fract_z
_atom_site_occupancy
Zr1 Zr 0.000 0.002 0.000 1
Zr2 Zr 0.166 0.498 0.333 1
Zr3 Zr 0.336 0.011 0.167 1
Sc1 Sc 0.167 0.499 0.622 1
Sc2 Sc 0.340 0.002 0.455 1
Sc3 Sc 0.495 0.488 0.289 1
P1 P 0.309 0.361 0.227 1
P2 P 0.479 0.143 0.060 1
P3 P 0.498 0.212 0.393 1
S1 S 0.022 0.351 0.227 1
S2 S 0.145 0.141 0.393 1
S3 S 0.165 0.210 0.727 1
S4 S 0.189 0.146 0.060 1
S5 S 0.331 0.288 0.561 1
S6 S 0.355 0.353 0.893 1
O1 O 0.012 0.191 0.237 1
O2 O 0.014 0.187 0.948 1
O3 O 0.061 0.425 0.279 1
O4 O 0.068 0.425 0.571 1
O5 O 0.075 0.381 0.175 1
O6 O 0.079 0.388 0.883 1
O7 O 0.089 0.119 0.446 1
O8 O 0.090 0.113 0.736 1
O9 O 0.102 0.077 0.053 1
O10 O 0.103 0.077 0.341 1
O11 O 0.151 0.305 0.675 1
O12 O 0.153 0.307 0.386 1
O13 O 0.178 0.307 0.069 1
O14 O 0.180 0.306 0.779 1
O15 O 0.228 0.074 0.113 1
O16 O 0.230 0.077 0.403 1
O17 O 0.242 0.118 0.008 1
O18 O 0.244 0.116 0.718 1
O19 O 0.252 0.386 0.281 1
O20 O 0.256 0.386 0.569 1
O21 O 0.266 0.427 0.173 1
O22 O 0.268 0.423 0.886 1
O23 O 0.317 0.195 0.508 1
O24 O 0.319 0.188 0.218 1
O25 O 0.343 0.192 0.902 1
O26 O 0.346 0.195 0.613 1
O27 O 0.395 0.424 0.946 1
O28 O 0.399 0.426 0.236 1
O29 O 0.409 0.379 0.842 1
O30 O 0.409 0.385 0.552 1
O31 O 0.419 0.113 0.403 1
O32 O 0.420 0.116 0.114 1
O33 O 0.434 0.073 0.007 1
O34 O 0.435 0.079 0.719 1
O35 O 0.485 0.312 0.340 1
O36 O 0.487 0.314 0.050 1
```

Ordered V results: 22.02 15.45 15.03 14.64 15.58; unit Å³ per atom.